(1)
Na2Mg2S3O12 | r²SCAN | relaxed

Cell lengths 8.6931, 8.6931, 21.6401 Å; angles 90.69, 89.31, 120.42 degrees
Last column: nearest neighbours and their distance in Å.
Fractional coordinates of all 114 atoms:
Na  0.3537  0.3537  0.2500  6 O 2.39-2.42
Na  0.6463  0.6463  0.7500  6 O 2.39-2.42
Na  0.0204  0.6870  0.5833  6 O 2.39-2.42
Na  0.3130  0.9796  0.0833  6 O 2.39-2.42
Na  0.6870  0.0204  0.9167  6 O 2.39-2.42
Na  0.9796  0.3130  0.4167  6 O 2.39-2.42
Na  0.0000  0.0000  0.5000  6 O 2.39-2.47
Na  0.0000  0.0000  0.0000  6 O 2.39-2.47
Na  0.6667  0.3333  0.8333  6 O 2.39-2.47
Na  0.6667  0.3333  0.3333  6 O 2.39-2.47
Na  0.3333  0.6667  0.1667  6 O 2.39-2.47
Na  0.3333  0.6667  0.6667  6 O 2.39-2.47
Mg  0.9937  0.9923  0.3523  6 O 1.99-2.12
Mg  0.0077  0.0063  0.8523  6 O 1.99-2.12
Mg  0.0063  0.0077  0.6477  6 O 1.99-2.12
Mg  0.9923  0.9937  0.1477  6 O 1.99-2.12
Mg  0.6603  0.3256  0.6856  6 O 1.99-2.12
Mg  0.6744  0.3397  0.1856  6 O 1.99-2.12
Mg  0.6730  0.3411  0.9810  6 O 1.99-2.12
Mg  0.6589  0.3270  0.4810  6 O 1.99-2.12
Mg  0.3270  0.6589  0.0190  6 O 1.99-2.12
Mg  0.3411  0.6730  0.5190  6 O 1.99-2.12
Mg  0.3397  0.6744  0.3144  6 O 1.99-2.12
Mg  0.3256  0.6603  0.8144  6 O 1.99-2.12
S  0.2934  0.9949  0.2459  4 O 1.46-1.48
S  0.7011  0.7011  0.2500  4 O 1.45-1.49
S  0.9949  0.2934  0.2541  4 O 1.46-1.48
S  0.2989  0.2989  0.7500  4 O 1.45-1.49
S  0.0051  0.7066  0.7459  4 O 1.46-1.48
S  0.7066  0.0051  0.7541  4 O 1.46-1.48
S  0.9600  0.3282  0.5792  4 O 1.46-1.48
S  0.3678  0.0344  0.5833  4 O 1.45-1.49
S  0.6616  0.6267  0.5874  4 O 1.46-1.48
S  0.9656  0.6322  0.0833  4 O 1.45-1.49
S  0.6718  0.0400  0.0792  4 O 1.46-1.48
S  0.3733  0.3384  0.0874  4 O 1.46-1.48
S  0.6267  0.6616  0.9126  4 O 1.46-1.48
S  0.0344  0.3678  0.9167  4 O 1.45-1.49
S  0.3282  0.9600  0.9208  4 O 1.46-1.48
S  0.6322  0.9656  0.4167  4 O 1.45-1.49
S  0.3384  0.3733  0.4126  4 O 1.46-1.48
S  0.0400  0.6718  0.4208  4 O 1.46-1.48
O  0.1908  0.0174  0.2957  1 S 1.46
O  0.7952  0.7942  0.3057  1 S 1.45
O  0.9800  0.2075  0.3140  1 S 1.48
O  0.2058  0.2048  0.8057  1 S 1.45
O  0.9826  0.8092  0.7957  1 S 1.46
O  0.7925  0.0200  0.8140  1 S 1.48
O  0.8092  0.9826  0.7043  1 S 1.46
O  0.2048  0.2058  0.6943  1 S 1.45
O  0.0200  0.7925  0.6860  1 S 1.48
O  0.7942  0.7952  0.1943  1 S 1.45
O  0.0174  0.1908  0.2043  1 S 1.46
O  0.2075  0.9800  0.1860  1 S 1.48
O  0.8574  0.3507  0.6291  1 S 1.46
O  0.4619  0.1275  0.6390  1 S 1.45
O  0.6467  0.5409  0.6474  1 S 1.48
O  0.8725  0.5381  0.1390  1 S 1.45
O  0.6493  0.1426  0.1291  1 S 1.46
O  0.4591  0.3533  0.1474  1 S 1.48
O  0.4759  0.3159  0.0376  1 S 1.46
O  0.8714  0.5391  0.0276  1 S 1.45
O  0.6866  0.1258  0.0193  1 S 1.48
O  0.4609  0.1286  0.5276  1 S 1.45
O  0.6841  0.5241  0.5376  1 S 1.46
O  0.8742  0.3134  0.5193  1 S 1.48
O  0.5241  0.6841  0.9624  1 S 1.46
O  0.1286  0.4609  0.9724  1 S 1.45
O  0.3134  0.8742  0.9807  1 S 1.48
O  0.5391  0.8714  0.4724  1 S 1.45
O  0.3159  0.4759  0.4624  1 S 1.46
O  0.1258  0.6866  0.4807  1 S 1.48
O  0.1426  0.6493  0.3709  1 S 1.46
O  0.5381  0.8725  0.3610  1 S 1.45
O  0.3533  0.4591  0.3526  1 S 1.48
O  0.1275  0.4619  0.8610  1 S 1.45
O  0.3507  0.8574  0.8709  1 S 1.46
O  0.5409  0.6467  0.8526  1 S 1.48
O  0.0238  0.8296  0.4131  1 S 1.46
O  0.8143  0.9899  0.4176  1 S 1.49
O  0.1752  0.1945  0.4133  1 S 1.48
O  0.0101  0.1857  0.9176  1 S 1.49
O  0.1704  0.9762  0.9131  1 S 1.46
O  0.8055  0.8248  0.9133  1 S 1.48
O  0.9762  0.1704  0.5869  1 S 1.46
O  0.1857  0.0101  0.5824  1 S 1.49
O  0.8248  0.8055  0.5867  1 S 1.48
O  0.9899  0.8143  0.0824  1 S 1.49
O  0.8296  0.0238  0.0869  1 S 1.46
O  0.1945  0.1752  0.0867  1 S 1.48
O  0.6904  0.1629  0.7465  1 S 1.46
O  0.4810  0.3232  0.7510  1 S 1.49
O  0.8418  0.5278  0.7466  1 S 1.48
O  0.6768  0.5190  0.2510  1 S 1.49
O  0.8371  0.3096  0.2465  1 S 1.46
O  0.4722  0.1582  0.2466  1 S 1.48
O  0.6429  0.5038  0.9202  1 S 1.46
O  0.8524  0.3434  0.9157  1 S 1.49
O  0.4915  0.1388  0.9201  1 S 1.48
O  0.6566  0.1476  0.4157  1 S 1.49
O  0.4962  0.3571  0.4202  1 S 1.46
O  0.8612  0.5085  0.4201  1 S 1.48
O  0.3571  0.4962  0.0798  1 S 1.46
O  0.1476  0.6566  0.0843  1 S 1.49
O  0.5085  0.8612  0.0799  1 S 1.48
O  0.3434  0.8524  0.5843  1 S 1.49
O  0.5038  0.6429  0.5798  1 S 1.46
O  0.1388  0.4915  0.5799  1 S 1.48
O  0.3096  0.8371  0.2535  1 S 1.46
O  0.5190  0.6768  0.2490  1 S 1.49
O  0.1582  0.4722  0.2534  1 S 1.48
O  0.3232  0.4810  0.7490  1 S 1.49
O  0.1629  0.6904  0.7535  1 S 1.46
O  0.5278  0.8418  0.7534  1 S 1.48

Properties
E_tot = -7.953 eV/atom

***

(2)
SmHoIn2 | r²SCAN | relaxed

Cell lengths 5.3319, 5.3319, 5.3319 Å; angles 60.00, 60.00, 60.00 degrees
Last column: nearest neighbours and their distance in Å.
Fractional coordinates of all 4 atoms:
Sm  0.7500  0.7500  0.7500  8 In 3.27
Ho  0.2500  0.2500  0.2500  8 In 3.27
In  0.0000  0.0000  0.0000  4 Sm 3.27, 4 Ho 3.27
In  0.5000  0.5000  0.5000  4 Ho 3.27, 4 Sm 3.27

Properties
space-group type = No. 225
E_tot = -27.540 eV/atom

***

(3)
MgH2 | r²SCAN | relaxed

Cell lengths 4.4791, 4.8955, 5.3926 Å; angles 90.00, 90.00, 90.00 degrees
Last column: nearest neighbours and their distance in Å.
Fractional coordinates of all 12 atoms:
Mg  0.5000  0.7500  0.1685  6 H 1.90-1.99
Mg  0.0000  0.2500  0.3315  6 H 1.90-1.99
Mg  0.5000  0.2500  0.8315  6 H 1.90-1.99
Mg  0.0000  0.7500  0.6685  6 H 1.90-1.99
H  0.7277  0.4198  0.1089  3 Mg 1.90-1.99
H  0.2277  0.5802  0.3911  3 Mg 1.90-1.99
H  0.7723  0.9198  0.3911  3 Mg 1.90-1.99
H  0.2723  0.0802  0.1089  3 Mg 1.90-1.99
H  0.7277  0.9198  0.8911  3 Mg 1.90-1.99
H  0.2277  0.0802  0.6089  3 Mg 1.90-1.99
H  0.7723  0.4198  0.6089  3 Mg 1.90-1.99
H  0.2723  0.5802  0.8911  3 Mg 1.90-1.99

Properties
space-group type = No. 60
E_tot = -3.954 eV/atom